Entry A
First-principles (PBE with a Hubbard U) data for a relaxed structure of Li2MnF4, as listed in the Materials Project database.

abc: 6.4782 5.2360 10.5476
angles: 67.36 90.00 90.00
Sites, in units of the cell vectors:
F (0.7319, 0.7499, 0.6389)
F (0.7681, 0.7499, 0.1389)
F (0.4856, 0.7431, 0.8766)
F (0.7684, 0.2177, 0.3776)
F (0.9856, 0.2569, 0.6234)
F (0.5144, 0.2569, 0.1234)
F (0.9886, 0.7444, 0.8774)
F (0.2316, 0.7823, 0.6224)
F (0.2319, 0.2501, 0.8611)
F (0.0114, 0.2556, 0.1226)
F (0.5114, 0.7444, 0.3774)
F (0.4886, 0.2556, 0.6226)
F (0.2684, 0.7823, 0.1224)
F (0.7316, 0.2177, 0.8776)
F (0.0144, 0.7431, 0.3766)
F (0.2681, 0.2501, 0.3611)
Li (0.5178, 0.3421, 0.4237)
Li (0.9822, 0.3421, 0.9237)
Li (0.4817, 0.3402, 0.9248)
Li (0.5183, 0.6598, 0.0752)
Li (0.0178, 0.6579, 0.0763)
Li (0.0183, 0.3402, 0.4248)
Li (0.4822, 0.6579, 0.5763)
Li (0.9817, 0.6598, 0.5752)
Mn (0.2368, 0.0011, 0.7494)
Mn (0.7368, 0.9989, 0.7506)
Mn (0.2632, 0.0011, 0.2494)
Mn (0.7632, 0.9989, 0.2506)

Values from the calculation:
Crystal system: monoclinic
Size of the total moment: 20.00 Bohr magnetons per cell

=====

Entry B
First-principles (PBE with a Hubbard U) data for a relaxed structure of Li2MnF4, as listed in the Materials Project database.

abc: 7.3305 8.8562 17.7603
angles: 61.13 90.00 90.00
Sites, in units of the cell vectors:
F (0.0741, 0.0908, 0.8541)
F (0.9259, 0.9092, 0.1459)
F (0.5537, 0.9287, 0.1296)
F (0.2407, 0.0537, 0.1888)
F (0.2469, 0.0640, 0.0286)
F (0.7407, 0.9463, 0.3112)
F (0.7946, 0.3243, 0.2912)
F (0.0537, 0.0713, 0.3704)
F (0.8899, 0.2826, 0.1325)
F (0.7845, 0.5975, 0.7976)
F (0.2531, 0.0640, 0.5286)
F (0.0301, 0.6701, 0.0507)
F (0.9712, 0.2709, 0.6750)
F (0.9699, 0.3299, 0.9493)
F (0.1101, 0.7174, 0.8675)
F (0.7155, 0.5975, 0.2976)
F (0.4699, 0.6701, 0.5507)
F (0.5741, 0.9092, 0.6459)
F (0.4008, 0.7254, 0.0283)
F (0.4463, 0.0713, 0.8704)
F (0.4712, 0.7291, 0.8250)
F (0.3899, 0.7174, 0.3675)
F (0.7593, 0.9463, 0.8112)
F (0.9008, 0.2746, 0.4717)
F (0.5301, 0.3299, 0.4493)
F (0.7434, 0.6229, 0.9634)
F (0.4259, 0.0908, 0.3541)
F (0.7106, 0.6033, 0.1459)
F (0.2566, 0.3771, 0.0366)
F (0.7566, 0.6229, 0.4634)
F (0.2845, 0.4025, 0.7024)
F (0.5992, 0.2746, 0.9717)
F (0.7469, 0.9360, 0.4714)
F (0.7531, 0.9360, 0.9714)
F (0.6101, 0.2826, 0.6325)
F (0.0992, 0.7254, 0.5283)
F (0.5288, 0.2709, 0.1750)
F (0.2106, 0.3967, 0.3541)
F (0.2946, 0.6757, 0.2088)
F (0.7894, 0.6033, 0.6459)
F (0.2434, 0.3771, 0.5366)
F (0.9463, 0.9287, 0.6296)
F (0.0288, 0.7291, 0.3250)
F (0.2593, 0.0537, 0.6888)
F (0.2155, 0.4025, 0.2024)
F (0.2894, 0.3967, 0.8541)
F (0.7054, 0.3243, 0.7912)
F (0.2054, 0.6757, 0.7088)
Mn (0.9741, 0.4938, 0.7454)
Mn (0.0381, 0.1788, 0.5875)
Mn (0.0259, 0.5062, 0.2546)
Mn (0.4631, 0.1583, 0.5796)
Mn (0.5369, 0.8417, 0.4204)
Mn (0.5259, 0.4938, 0.2454)
Mn (0.9619, 0.8212, 0.4125)
Mn (0.4741, 0.5062, 0.7546)
Mn (0.5381, 0.8212, 0.9125)
Mn (0.9631, 0.8417, 0.9204)
Mn (0.4619, 0.1788, 0.0875)
Mn (0.0369, 0.1583, 0.0796)
Li (0.2475, 0.8124, 0.7647)
Li (0.2509, 0.1562, 0.9089)
Li (0.2573, 0.5340, 0.5798)
Li (0.8239, 0.5181, 0.0791)
Li (0.3068, 0.1770, 0.2462)
Li (0.1527, 0.8421, 0.5912)
Li (0.1761, 0.4819, 0.9209)
Li (0.2427, 0.5340, 0.0798)
Li (0.3473, 0.8421, 0.0912)
Li (0.2525, 0.8124, 0.2647)
Li (0.6932, 0.8230, 0.7538)
Li (0.7427, 0.4660, 0.4202)
Li (0.1932, 0.1770, 0.7462)
Li (0.7573, 0.4660, 0.9202)
Li (0.3239, 0.4819, 0.4209)
Li (0.6761, 0.5181, 0.5791)
Li (0.2491, 0.1562, 0.4089)
Li (0.8473, 0.1579, 0.4088)
Li (0.7509, 0.8438, 0.5911)
Li (0.6527, 0.1579, 0.9088)
Li (0.7475, 0.1876, 0.7353)
Li (0.8068, 0.8230, 0.2538)
Li (0.7491, 0.8438, 0.0911)
Li (0.7525, 0.1876, 0.2353)

Values from the calculation:
Crystal system: monoclinic
Size of the total moment: 20.00 Bohr magnetons per cell

=====

Stability summary: most stable entry A, least stable entry B.

=====

Entry A
First-principles (PBE with a Hubbard U) data for a relaxed structure of Li2MnF4, as listed in the Materials Project database.

abc: 8.7251 7.2395 10.6038
angles: 86.74 90.00 90.00
Sites, in units of the cell vectors:
F (0.8768, 0.7467, 0.3139)
F (0.3768, 0.2533, 0.1861)
F (0.9518, 0.9590, 0.8087)
F (0.7446, 0.2469, 0.7307)
F (0.5663, 0.5831, 0.2808)
F (0.7661, 0.8889, 0.0571)
F (0.6232, 0.7467, 0.8139)
F (0.6656, 0.5176, 0.0400)
F (0.2339, 0.1111, 0.9429)
F (0.0774, 0.8065, 0.5547)
F (0.2554, 0.7531, 0.2693)
F (0.4337, 0.4169, 0.7192)
F (0.5482, 0.9590, 0.3087)
F (0.4518, 0.0410, 0.6913)
F (0.1232, 0.2533, 0.6861)
F (0.9226, 0.1935, 0.4453)
F (0.0992, 0.7316, 0.0416)
F (0.9337, 0.5831, 0.7808)
F (0.2661, 0.1111, 0.4429)
F (0.9008, 0.2684, 0.9584)
F (0.5992, 0.2684, 0.4584)
F (0.7339, 0.8889, 0.5571)
F (0.0482, 0.0410, 0.1913)
F (0.1656, 0.4824, 0.4600)
F (0.4226, 0.8065, 0.0547)
F (0.4008, 0.7316, 0.5416)
F (0.2446, 0.7531, 0.7693)
F (0.5774, 0.1935, 0.9453)
F (0.0663, 0.4169, 0.2192)
F (0.8344, 0.5176, 0.5400)
F (0.7554, 0.2469, 0.2307)
F (0.3344, 0.4824, 0.9600)
Li (0.0601, 0.7458, 0.8680)
Li (0.0874, 0.7102, 0.3892)
Li (0.4399, 0.7458, 0.3680)
Li (0.1125, 0.2712, 0.3748)
Li (0.5601, 0.2542, 0.6320)
Li (0.8875, 0.7288, 0.6252)
Li (0.9443, 0.8245, 0.1426)
Li (0.9399, 0.2542, 0.1320)
Li (0.9126, 0.2898, 0.6108)
Li (0.0557, 0.1755, 0.8574)
Li (0.5874, 0.2898, 0.1108)
Li (0.4126, 0.7102, 0.8892)
Li (0.5557, 0.8245, 0.6426)
Li (0.4443, 0.1755, 0.3574)
Li (0.6125, 0.7288, 0.1252)
Li (0.3875, 0.2712, 0.8748)
Mn (0.2582, 0.5391, 0.1345)
Mn (0.2418, 0.5391, 0.6345)
Mn (0.2680, 0.9957, 0.1245)
Mn (0.7680, 0.0043, 0.3755)
Mn (0.7582, 0.4609, 0.3655)
Mn (0.2320, 0.9957, 0.6245)
Mn (0.7418, 0.4609, 0.8655)
Mn (0.7320, 0.0043, 0.8755)

Values from the calculation:
Crystal system: monoclinic
Size of the total moment: 0.00 Bohr magnetons per cell

=====

Entry B
First-principles (PBE with a Hubbard U) data for a relaxed structure of Li2MnF4, as listed in the Materials Project database.

abc: 3.1470 5.0497 10.0988
angles: 90.00 90.00 90.00
Sites, in units of the cell vectors:
F (0.0000, 0.7569, 0.8269)
F (0.5000, 0.2183, 0.9018)
F (0.5000, 0.7183, 0.5982)
F (0.0000, 0.2569, 0.6731)
F (0.0000, 0.7431, 0.3269)
F (0.5000, 0.7817, 0.0982)
F (0.5000, 0.2817, 0.4018)
F (0.0000, 0.2431, 0.1731)
Mn (0.0000, 0.5000, 0.5000)
Mn (0.0000, 0.0000, 0.0000)
Li (0.5000, 0.0297, 0.7088)
Li (0.5000, 0.9703, 0.2912)
Li (0.5000, 0.4703, 0.2088)
Li (0.5000, 0.5297, 0.7912)

Values from the calculation:
Crystal system: orthorhombic
Size of the total moment: 10.00 Bohr magnetons per cell

=====

Stability summary: most stable entry B, least stable entry A.

=====

Entry A
First-principles (PBE with a Hubbard U) data for a relaxed structure of MgV4O7F5, as listed in the Materials Project database.

abc: 5.2369 5.3042 8.9722
angles: 73.98 89.68 63.56
Sites, in units of the cell vectors:
V (0.2734, 0.5214, 0.7703)
V (0.4284, 0.0279, 0.4817)
V (0.9695, 0.0019, 0.0023)
V (0.6538, 0.5330, 0.2393)
O (0.3881, 0.7844, 0.0912)
O (0.6200, 0.2274, 0.9146)
O (0.0714, 0.7155, 0.8868)
O (0.4788, 0.7118, 0.6704)
O (0.5535, 0.2626, 0.3166)
O (0.0667, 0.2213, 0.4463)
O (0.5693, 0.7113, 0.3888)
F (0.9379, 0.2795, 0.1259)
F (0.9964, 0.6760, 0.5833)
F (0.5460, 0.2091, 0.6209)
F (0.0963, 0.2268, 0.8089)
F (0.9101, 0.7433, 0.1791)
Mg (0.8153, 0.3968, 0.6022)

Values from the calculation:
Crystal system: triclinic
Size of the total moment: 3.00 Bohr magnetons per cell

=====

Entry B
First-principles (PBE with a Hubbard U) data for a relaxed structure of MgV4O7F5, as listed in the Materials Project database.

abc: 5.3383 7.3795 5.3625
angles: 85.74 92.77 89.27
Sites, in units of the cell vectors:
O (0.6136, 0.5955, 0.2055)
O (0.3245, 0.4378, 0.8061)
O (0.0816, 0.7207, 0.9888)
O (0.2973, 0.9888, 0.1948)
O (0.5842, 0.2493, 0.4670)
O (0.7089, 0.9651, 0.8128)
O (0.9331, 0.2622, 0.0177)
V (0.5042, 0.0271, 0.4847)
V (0.0686, 0.4787, 0.9643)
V (0.9874, 0.0048, 0.0007)
V (0.5173, 0.5014, 0.4785)
F (0.7919, 0.9424, 0.3052)
F (0.1841, 0.4508, 0.3182)
F (0.4244, 0.7497, 0.5926)
F (0.8196, 0.5342, 0.6899)
F (0.2066, 0.0443, 0.6995)
Mg (0.4527, 0.7970, 0.9740)

Values from the calculation:
Crystal system: triclinic
Size of the total moment: 3.00 Bohr magnetons per cell

=====

Stability summary: most stable entry A, least stable entry B.

=====

Entry A
First-principles (PBE with a Hubbard U) data for a relaxed structure of MgV4O7F5, as listed in the Materials Project database.

abc: 5.1681 5.2710 9.2518
angles: 74.88 90.57 60.59
Sites, in units of the cell vectors:
O (0.3762, 0.7799, 0.6586)
O (0.1019, 0.3424, 0.3969)
O (0.6219, 0.2794, 0.9142)
O (0.6822, 0.1607, 0.3516)
O (0.4674, 0.7450, 0.3829)
O (0.3973, 0.7203, 0.0991)
O (0.0356, 0.7602, 0.8775)
V (0.6954, 0.5047, 0.2492)
V (0.9920, 0.9962, 0.9799)
V (0.4542, 0.0261, 0.4822)
V (0.2883, 0.5169, 0.7500)
F (0.1421, 0.2180, 0.8491)
F (0.9330, 0.6950, 0.5833)
F (0.5000, 0.2278, 0.6352)
F (0.8746, 0.7932, 0.1607)
F (0.9848, 0.2268, 0.1370)
Mg (0.0659, 0.7698, 0.3642)

Values from the calculation:
Crystal system: triclinic
Size of the total moment: 3.00 Bohr magnetons per cell

=====

Entry B
First-principles (PBE with a Hubbard U) data for a relaxed structure of MgV4O7F5, as listed in the Materials Project database.

abc: 5.2250 5.4352 8.9243
angles: 76.21 89.98 59.50
Sites, in units of the cell vectors:
V (0.2579, 0.5118, 0.7562)
V (0.4511, 0.0064, 0.5252)
V (0.0410, 0.9945, 0.9967)
V (0.7379, 0.5088, 0.2485)
O (0.4480, 0.7342, 0.6678)
O (0.9506, 0.2365, 0.1404)
O (0.0833, 0.2193, 0.4280)
O (0.4619, 0.2370, 0.6238)
O (0.5109, 0.7315, 0.3683)
O (0.4092, 0.7581, 0.0725)
O (0.0465, 0.7532, 0.8598)
F (0.0750, 0.2598, 0.8237)
F (0.5930, 0.2328, 0.9234)
F (0.9436, 0.7421, 0.1898)
F (0.9426, 0.7441, 0.5539)
F (0.6004, 0.2042, 0.3343)
Mg (0.0598, 0.8884, 0.3518)

Values from the calculation:
Crystal system: triclinic
Size of the total moment: 3.00 Bohr magnetons per cell

=====

Stability summary: most stable entry B, least stable entry A.